## Na14Hf4Al4Si9S3O48 (GGA-PBE)

Data for crystalline Na14Hf4Al4Si9S3O48 at its relaxed geometry.

Lattice parameters (Å, degrees): 8.965 15.532 22.256 90.45 90.20 90.01
Element x y z (fractional)
Na 0.000 0.000 0.000
Na 0.001 0.343 0.332
Na 0.003 0.045 0.668
Na 0.010 0.703 0.327
Na 0.131 0.205 0.829
Na 0.139 0.538 0.167
Na 0.142 0.499 0.497
Na 0.144 0.842 0.839
Na 0.175 0.854 0.164
Na 0.188 0.192 0.503
Na 0.193 0.520 0.837
Na 0.316 0.684 0.250
Na 0.318 0.025 0.081
Na 0.318 0.362 0.917
Na 0.325 0.359 0.417
Na 0.325 0.685 0.754
Na 0.326 0.029 0.581
Na 0.450 0.516 0.333
Na 0.465 0.186 0.003
Na 0.466 0.856 0.667
Na 0.500 0.537 0.668
Na 0.502 0.842 0.334
Na 0.505 0.509 0.000
Na 0.509 0.871 0.999
Na 0.516 0.208 0.331
Na 0.626 0.705 0.835
Na 0.636 0.371 0.496
Na 0.639 0.012 0.497
Na 0.643 0.342 0.837
Na 0.644 0.040 0.167
Na 0.679 0.684 0.498
Na 0.686 0.356 0.167
Na 0.694 0.019 0.838
Na 0.818 0.858 0.921
Na 0.822 0.524 0.084
Na 0.823 0.190 0.250
Na 0.826 0.523 0.580
Na 0.827 0.862 0.413
Na 0.828 0.186 0.751
Na 0.950 0.021 0.334
Na 0.956 0.691 0.005
Na 0.968 0.354 0.664
Hf 0.319 0.686 0.101
Hf 0.320 0.026 0.732
Hf 0.321 0.022 0.230
Hf 0.323 0.014 0.437
Hf 0.323 0.359 0.065
Hf 0.334 0.684 0.602
Hf 0.811 0.858 0.561
Hf 0.815 0.189 0.106
Hf 0.820 0.513 0.939
Hf 0.823 0.521 0.731
Hf 0.824 0.187 0.600
Hf 0.830 0.521 0.229
Al 0.298 0.366 0.767
Al 0.304 0.353 0.558
Al 0.323 0.685 0.397
Al 0.324 0.003 0.935
Al 0.327 0.363 0.265
Al 0.338 0.691 0.904
Al 0.797 0.865 0.771
Al 0.805 0.192 0.402
Al 0.820 0.502 0.433
Al 0.826 0.185 0.900
Al 0.840 0.853 0.059
Al 0.845 0.865 0.267
Si 0.026 0.021 0.837
Si 0.040 0.352 0.171
Si 0.117 0.523 0.338
Si 0.173 0.869 0.333
Si 0.178 0.834 0.997
Si 0.179 0.497 0.664
Si 0.179 0.544 0.995
Si 0.187 0.216 0.666
Si 0.458 0.211 0.169
Si 0.460 0.829 0.497
Si 0.466 0.872 0.834
Si 0.468 0.504 0.170
Si 0.475 0.540 0.495
Si 0.517 0.520 0.832
Si 0.526 0.193 0.499
Si 0.617 0.693 0.999
Si 0.627 0.021 0.332
Si 0.671 0.042 0.996
Si 0.672 0.371 0.334
Si 0.675 0.003 0.669
Si 0.678 0.328 0.996
Si 0.686 0.712 0.669
Si 0.957 0.717 0.166
Si 0.964 0.996 0.164
Si 0.966 0.334 0.497
Si 0.967 0.045 0.495
Si 0.971 0.369 0.833
S 0.034 0.688 0.497
S 0.108 0.853 0.668
S 0.112 0.187 0.996
S 0.174 0.170 0.334
S 0.469 0.169 0.836
S 0.540 0.854 0.168
S 0.604 0.354 0.667
S 0.675 0.668 0.335
S 0.970 0.671 0.833
O 0.000 0.206 0.664
O 0.000 0.510 0.394
O 0.011 0.177 0.338
O 0.016 0.545 0.278
O 0.016 0.868 0.614
O 0.017 0.201 0.942
O 0.017 0.842 0.723
O 0.019 0.172 0.050
O 0.126 0.675 0.552
O 0.126 0.702 0.444
O 0.127 0.041 0.776
O 0.132 0.678 0.837
O 0.138 0.372 0.111
O 0.144 0.341 0.230
O 0.144 0.708 0.163
O 0.145 0.007 0.892
O 0.147 0.003 0.171
O 0.147 0.344 0.503
O 0.148 0.040 0.493
O 0.153 0.361 0.826
O 0.194 0.938 0.388
O 0.200 0.601 0.057
O 0.201 0.112 0.281
O 0.204 0.933 0.672
O 0.207 0.771 0.939
O 0.208 0.778 0.662
O 0.209 0.110 0.990
O 0.209 0.264 0.001
O 0.212 0.437 0.605
O 0.218 0.435 0.330
O 0.220 0.274 0.727
O 0.225 0.609 0.345
O 0.244 0.130 0.387
O 0.245 0.255 0.328
O 0.246 0.115 0.671
O 0.251 0.932 0.992
O 0.252 0.260 0.606
O 0.252 0.595 0.660
O 0.254 0.775 0.343
O 0.255 0.913 0.274
O 0.256 0.459 0.725
O 0.256 0.593 0.938
O 0.258 0.797 0.058
O 0.259 0.450 0.000
O 0.385 0.597 0.164
O 0.386 0.778 0.841
O 0.388 0.590 0.441
O 0.389 0.459 0.227
O 0.390 0.917 0.774
O 0.392 0.791 0.560
O 0.393 0.250 0.105
O 0.397 0.111 0.172
O 0.397 0.129 0.888
O 0.398 0.446 0.507
O 0.402 0.928 0.496
O 0.403 0.255 0.827
O 0.414 0.607 0.839
O 0.421 0.108 0.492
O 0.422 0.430 0.822
O 0.424 0.280 0.509
O 0.430 0.273 0.227
O 0.432 0.767 0.440
O 0.436 0.779 0.163
O 0.441 0.934 0.172
O 0.444 0.113 0.781
O 0.445 0.939 0.890
O 0.446 0.444 0.108
O 0.451 0.602 0.556
O 0.485 0.036 0.987
O 0.489 0.362 0.326
O 0.493 0.006 0.673
O 0.494 0.337 0.999
O 0.499 0.705 0.665
O 0.508 0.670 0.055
O 0.509 0.676 0.340
O 0.515 0.040 0.275
O 0.515 0.343 0.722
O 0.515 0.369 0.613
O 0.515 0.710 0.939
O 0.518 0.002 0.390
O 0.628 0.503 0.889
O 0.628 0.540 0.774
O 0.628 0.869 0.113
O 0.630 0.209 0.441
O 0.630 0.844 0.222
O 0.634 0.169 0.556
O 0.634 0.176 0.839
O 0.643 0.202 0.164
O 0.646 0.837 0.501
O 0.648 0.509 0.174
O 0.650 0.863 0.827
O 0.659 0.536 0.488
O 0.695 0.103 0.056
O 0.695 0.436 0.391
O 0.698 0.613 0.282
O 0.702 0.943 0.609
O 0.703 0.433 0.672
O 0.708 0.279 0.663
O 0.712 0.268 0.938
O 0.718 0.775 0.727
O 0.720 0.780 0.008
O 0.722 0.930 0.323
O 0.723 0.608 0.991
O 0.730 0.107 0.340
O 0.740 0.755 0.328
O 0.742 0.427 0.995
O 0.744 0.612 0.672
O 0.746 0.629 0.389
O 0.746 0.946 0.006
O 0.749 0.289 0.057
O 0.752 0.752 0.607
O 0.753 0.417 0.276
O 0.755 0.088 0.939
O 0.756 0.278 0.342
O 0.756 0.957 0.726
O 0.757 0.097 0.665
O 0.886 0.091 0.439
O 0.887 0.297 0.558
O 0.888 0.958 0.225
O 0.890 0.091 0.159
O 0.890 0.413 0.773
O 0.890 0.949 0.503
O 0.891 0.275 0.843
O 0.892 0.432 0.492
O 0.893 0.760 0.105
O 0.897 0.618 0.171
O 0.897 0.633 0.886
O 0.901 0.758 0.824
O 0.919 0.107 0.843
O 0.926 0.271 0.164
O 0.927 0.775 0.227
O 0.927 0.931 0.825
O 0.933 0.439 0.173
O 0.934 0.936 0.105
O 0.935 0.612 0.492
O 0.937 0.269 0.440
O 0.937 0.766 0.504
O 0.942 0.613 0.780
O 0.944 0.100 0.558
O 0.949 0.439 0.887
O 0.991 0.861 0.326
O 0.996 0.504 0.671
O 0.996 0.844 0.002
O 0.997 0.540 0.991

Its total energy after the MP2020 corrections is -7.44 eV per atom. For the energy relative to the elements, the calculation gives -2.903 eV per atom. The crystal system is triclinic. For the total DFT energy (no corrections), the calculation gives -7.038 eV/atom.